[1]
{
  "formula": "Mg2TaMoO6",
  "functional": "PBE+U",
  "state": "optimized geometry",
  "lattice_angstrom": [[5.344, 0.000, 0.000], [0.000, 7.743, 0.000], [-0.130, 0.000, 5.460]],
  "species": ["Mg", "Mg", "Mg", "Mg", "Ta", "Ta", "Mo", "Mo", "O", "O", "O", "O", "O", "O", "O", "O", "O", "O", "O", "O"],
  "frac_coords": [[0.001, 0.250, 0.049], [0.494, 0.250, 0.535], [0.506, 0.750, 0.465], [0.999, 0.750, 0.951], [0.500, 0.000, 0.000], [0.500, 0.500, 0.000], [0.000, 0.000, 0.500], [0.000, 0.500, 0.500], [0.138, 0.250, 0.406], [0.188, 0.569, 0.165], [0.188, 0.931, 0.165], [0.343, 0.570, 0.687], [0.343, 0.930, 0.687], [0.371, 0.250, 0.927], [0.629, 0.750, 0.073], [0.657, 0.070, 0.313], [0.657, 0.430, 0.313], [0.812, 0.069, 0.835], [0.812, 0.431, 0.835], [0.862, 0.750, 0.594]],
  "space_group": "P2_1/m (11)"
}


[2]
{
  "formula": "Mg2Tl2Mo3O12",
  "functional": "PBE+U",
  "state": "optimized geometry",
  "lattice_angstrom": [[11.000, 0.000, 0.000], [0.000, 11.000, 0.000], [0.000, 0.000, 11.000]],
  "species": ["Mg", "Mg", "Mg", "Mg", "Mg", "Mg", "Mg", "Mg", "Tl", "Tl", "Tl", "Tl", "Tl", "Tl", "Tl", "Tl", "Mo", "Mo", "Mo", "Mo", "Mo", "Mo", "Mo", "Mo", "Mo", "Mo", "Mo", "Mo", "O", "O", "O", "O", "O", "O", "O", "O", "O", "O", "O", "O", "O", "O", "O", "O", "O", "O", "O", "O", "O", "O", "O", "O", "O", "O", "O", "O", "O", "O", "O", "O", "O", "O", "O", "O", "O", "O", "O", "O", "O", "O", "O", "O", "O", "O", "O", "O"],
  "frac_coords": [[0.114, 0.386, 0.614], [0.161, 0.161, 0.161], [0.339, 0.839, 0.661], [0.386, 0.614, 0.114], [0.614, 0.114, 0.386], [0.661, 0.339, 0.839], [0.839, 0.661, 0.339], [0.886, 0.886, 0.886], [0.060, 0.560, 0.940], [0.166, 0.834, 0.334], [0.334, 0.166, 0.834], [0.440, 0.440, 0.440], [0.560, 0.940, 0.060], [0.666, 0.666, 0.666], [0.834, 0.334, 0.166], [0.940, 0.060, 0.560], [0.028, 0.703, 0.622], [0.122, 0.472, 0.297], [0.203, 0.878, 0.972], [0.297, 0.122, 0.472], [0.378, 0.528, 0.797], [0.472, 0.297, 0.122], [0.528, 0.797, 0.378], [0.622, 0.028, 0.703], [0.703, 0.622, 0.028], [0.797, 0.378, 0.528], [0.878, 0.972, 0.203], [0.972, 0.203, 0.878], [0.022, 0.045, 0.220], [0.027, 0.548, 0.676], [0.045, 0.220, 0.022], [0.048, 0.824, 0.973], [0.054, 0.295, 0.771], [0.103, 0.320, 0.245], [0.176, 0.473, 0.452], [0.180, 0.755, 0.603], [0.205, 0.229, 0.554], [0.220, 0.022, 0.045], [0.229, 0.554, 0.205], [0.245, 0.103, 0.320], [0.255, 0.897, 0.820], [0.271, 0.446, 0.705], [0.280, 0.978, 0.545], [0.295, 0.771, 0.054], [0.320, 0.245, 0.103], [0.324, 0.527, 0.952], [0.397, 0.680, 0.745], [0.446, 0.705, 0.271], [0.452, 0.176, 0.473], [0.455, 0.780, 0.522], [0.473, 0.452, 0.176], [0.478, 0.955, 0.720], [0.522, 0.455, 0.780], [0.527, 0.952, 0.324], [0.545, 0.280, 0.978], [0.548, 0.676, 0.027], [0.554, 0.205, 0.229], [0.603, 0.180, 0.755], [0.676, 0.027, 0.548], [0.680, 0.745, 0.397], [0.705, 0.271, 0.446], [0.720, 0.478, 0.955], [0.729, 0.946, 0.795], [0.745, 0.397, 0.680], [0.755, 0.603, 0.180], [0.771, 0.054, 0.295], [0.780, 0.522, 0.455], [0.795, 0.729, 0.946], [0.820, 0.255, 0.897], [0.824, 0.973, 0.048], [0.897, 0.820, 0.255], [0.946, 0.795, 0.729], [0.952, 0.324, 0.527], [0.955, 0.720, 0.478], [0.973, 0.048, 0.824], [0.978, 0.545, 0.280]],
  "space_group": "P2_13 (198)"
}


Short version: calculated formation energy = -2816 -2146 meV per atom, in the order given.
Short version: total magnetic moment = 6.0 0.0 μB per cell, in the order given.